Computed, not measured: a relaxed structure of Na5Si3Sn2Ge2P3O24 at the PBE level of DFT.

Cell: 8.797 8.798 22.158 Å, 89.86 90.33 120.01°
Fractional coordinates of all 117 atoms:
Na 0.000 0.636 0.250
Na 0.368 0.997 0.752
Na 0.029 0.701 0.581
Na 0.661 0.963 0.585
Na 0.296 0.967 0.080
Na 0.039 0.338 0.084
Na 0.966 0.667 0.918
Na 0.964 0.298 0.413
Na 0.335 0.030 0.418
Na 0.995 0.991 0.500
Na 0.995 0.002 0.997
Na 0.666 0.328 0.837
Na 0.662 0.332 0.330
Na 0.349 0.664 0.167
Na 0.340 0.653 0.670
Si 0.000 0.300 0.248
Si 0.709 0.994 0.755
Si 0.373 0.045 0.584
Si 0.664 0.621 0.585
Si 0.949 0.616 0.080
Si 0.389 0.344 0.082
Si 0.338 0.960 0.917
Si 0.622 0.951 0.414
Si 0.043 0.667 0.414
Sn 0.992 0.996 0.349
Sn 0.000 0.002 0.651
Sn 0.997 0.999 0.147
Sn 0.668 0.334 0.690
Sn 0.666 0.338 0.478
Sn 0.339 0.668 0.519
Ge 0.004 0.008 0.855
Ge 0.669 0.335 0.184
Ge 0.654 0.328 0.980
Ge 0.331 0.664 0.018
Ge 0.331 0.665 0.314
Ge 0.343 0.673 0.817
P 0.305 0.004 0.249
P 0.696 0.699 0.249
P 0.286 0.297 0.756
P 0.004 0.708 0.756
P 0.960 0.333 0.583
P 0.661 0.047 0.081
P 0.618 0.667 0.918
P 0.048 0.378 0.916
P 0.335 0.383 0.413
O 0.222 0.036 0.306
O 0.823 0.774 0.304
O 0.962 0.182 0.309
O 0.201 0.166 0.809
O 0.977 0.800 0.811
O 0.843 0.028 0.811
O 0.780 0.963 0.691
O 0.180 0.223 0.696
O 0.045 0.821 0.697
O 0.779 0.818 0.193
O 0.036 0.217 0.188
O 0.179 0.958 0.194
O 0.880 0.372 0.638
O 0.497 0.120 0.644
O 0.635 0.507 0.645
O 0.870 0.494 0.141
O 0.624 0.125 0.138
O 0.507 0.370 0.143
O 0.466 0.290 0.024
O 0.831 0.525 0.019
O 0.704 0.169 0.026
O 0.452 0.153 0.521
O 0.717 0.548 0.526
O 0.848 0.295 0.525
O 0.534 0.700 0.974
O 0.159 0.456 0.975
O 0.292 0.828 0.976
O 0.553 0.849 0.478
O 0.293 0.452 0.470
O 0.156 0.703 0.476
O 0.133 0.630 0.355
O 0.488 0.855 0.358
O 0.362 0.497 0.357
O 0.137 0.504 0.862
O 0.367 0.869 0.857
O 0.503 0.631 0.861
O 0.037 0.848 0.409
O 0.821 0.985 0.411
O 0.172 0.196 0.408
O 0.031 0.193 0.910
O 0.153 0.972 0.910
O 0.808 0.831 0.912
O 0.973 0.167 0.589
O 0.178 0.021 0.590
O 0.837 0.819 0.589
O 0.979 0.815 0.086
O 0.829 0.031 0.087
O 0.190 0.168 0.087
O 0.682 0.167 0.752
O 0.468 0.308 0.751
O 0.838 0.526 0.751
O 0.684 0.518 0.242
O 0.824 0.323 0.241
O 0.485 0.169 0.241
O 0.644 0.503 0.923
O 0.865 0.364 0.921
O 0.516 0.155 0.924
O 0.635 0.145 0.417
O 0.498 0.361 0.416
O 0.853 0.487 0.416
O 0.363 0.516 0.074
O 0.149 0.638 0.074
O 0.494 0.864 0.074
O 0.348 0.847 0.581
O 0.491 0.642 0.581
O 0.140 0.499 0.578
O 0.316 0.834 0.256
O 0.516 0.685 0.258
O 0.175 0.499 0.256
O 0.302 0.478 0.764
O 0.171 0.690 0.761
O 0.509 0.819 0.761

Output
Raw total energy ... -6.605 eV per atom
Space-group type ... No. 1
Formation energy from the elements ... -2536 meV per atom
Spin magnetization ... 0.00 μB per atom
V ... 12.692 A^3/atom